A relaxed Li4CrFe3O8 crystal, computed with PBE with a Hubbard U.

- energy relative to the elements (kJ/mol of formula units) = -3176
- excess energy over the best structure of this formula in the dataset (eV per atom) = 0.0002
- total magnetic moment (μB/atom) = 1.125

Cell: 5.2020 5.9695 10.3369 Å, 89.95 80.42 73.22°
Positions (direct):
Li 0.0000 0.0000 0.0000
Li 0.0000 0.0000 0.5000
Li 0.0000 0.2494 0.2505
Li 0.0000 0.5000 0.0000
Li 0.0000 0.5000 0.5000
Li 0.0000 0.7506 0.7495
Li 0.0017 0.2493 0.7500
Li 0.9983 0.7507 0.2500
Cr 0.4992 0.1248 0.3760
Cr 0.5008 0.8752 0.6240
Fe 0.4995 0.6248 0.3755
Fe 0.5000 0.1247 0.8742
Fe 0.4996 0.3747 0.1257
Fe 0.5004 0.6253 0.8743
Fe 0.5000 0.8753 0.1258
Fe 0.5005 0.3752 0.6245
O 0.2711 0.1819 0.0607
O 0.2713 0.4312 0.3123
O 0.2713 0.4323 0.8103
O 0.2711 0.6826 0.0612
O 0.2734 0.9332 0.3118
O 0.2740 0.1804 0.5600
O 0.2739 0.6836 0.5610
O 0.2736 0.9316 0.8086
O 0.7264 0.0684 0.1914
O 0.7261 0.3164 0.4390
O 0.7260 0.8196 0.4400
O 0.7266 0.0668 0.6882
O 0.7289 0.3174 0.9388
O 0.7287 0.5677 0.1897
O 0.7287 0.5688 0.6877
O 0.7289 0.8181 0.9393